No. 1
Density functional theory data (PBE) for a relaxed structure of Ca3SiO5.

Lattice parameters (Å, degrees): 9.446 9.446 9.446 44.67 44.67 44.67
Element x y z (fractional)
O  0.860  0.236  0.860
O  0.860  0.860  0.236
O  0.616  0.616  0.616
O  0.327  0.327  0.950
O  0.286  0.286  0.286
O  0.639  0.012  0.639
O  0.386  0.386  0.386
O  0.327  0.950  0.327
O  0.500  0.500  0.500
O  0.012  0.639  0.639
O  0.950  0.327  0.327
O  0.639  0.639  0.012
O  0.073  0.073  0.073
O  0.852  0.852  0.852
O  0.236  0.860  0.860
Ca  0.746  0.295  0.295
Ca  0.708  0.708  0.257
Ca  0.295  0.746  0.295
Ca  0.708  0.257  0.708
Ca  0.257  0.708  0.708
Ca  0.295  0.295  0.746
Ca  0.502  0.002  0.502
Ca  0.002  0.502  0.502
Ca  0.502  0.502  0.002
Si  0.221  0.221  0.221
Si  0.786  0.786  0.786
Si  0.007  0.007  0.007

Calculated values
formation energy = -3388.9 meV per atom
distance to the lowest polymorph of the same formula = 30 meV/atom


No. 2
Density functional theory data (PBE) for a relaxed structure of Dy2Co3Si5.

Lattice parameters (Å, degrees): 5.542 7.844 7.844 75.17 69.31 69.31
Element x y z (fractional)
Co  0.364  0.748  0.524
Co  0.636  0.252  0.476
Co  0.250  0.000  0.000
Co  0.136  0.476  0.252
Co  0.864  0.524  0.748
Co  0.750  0.000  0.000
Dy  0.367  0.397  0.868
Dy  0.633  0.603  0.132
Dy  0.133  0.132  0.603
Dy  0.867  0.868  0.397
Si  0.981  0.769  0.769
Si  0.897  0.258  0.947
Si  0.603  0.053  0.742
Si  0.103  0.742  0.053
Si  0.481  0.769  0.769
Si  0.019  0.231  0.231
Si  0.250  0.500  0.500
Si  0.750  0.500  0.500
Si  0.397  0.947  0.258
Si  0.519  0.231  0.231

Calculated values
formation energy = -733.5 meV per atom
distance to the lowest polymorph of the same formula = 6 meV/atom


No. 3
Density functional theory data (PBE) for a relaxed structure of Sr2Ti6O13.

Lattice parameters (Å, degrees): 7.625 7.625 9.257 81.70 81.70 29.81
Element x y z (fractional)
Ti  0.757  0.757  0.770
Ti  0.836  0.836  0.441
Ti  0.123  0.123  0.905
Ti  0.877  0.877  0.095
Ti  0.164  0.164  0.559
Ti  0.243  0.243  0.230
O  0.065  0.065  0.702
O  0.167  0.167  0.089
O  0.302  0.302  0.430
O  0.876  0.876  0.617
O  0.628  0.628  0.886
O  0.756  0.756  0.248
O  0.000  0.000  0.000
O  0.124  0.124  0.383
O  0.244  0.244  0.752
O  0.935  0.935  0.298
O  0.372  0.372  0.114
O  0.833  0.833  0.911
O  0.698  0.698  0.570
Sr  0.451  0.451  0.779
Sr  0.549  0.549  0.221

Calculated values
formation energy = -3485.1 meV per atom


No. 4
Density functional theory data (PBE) for a relaxed structure of Cs2TlInBr6.

Lattice parameters (Å, degrees): 8.345 8.345 8.345 60.00 60.00 60.00
Element x y z (fractional)
Tl  0.500  0.500  0.500
Cs  0.750  0.750  0.750
Cs  0.250  0.250  0.250
Br  0.231  0.769  0.231
Br  0.231  0.769  0.769
Br  0.769  0.231  0.769
Br  0.769  0.231  0.231
Br  0.231  0.231  0.769
Br  0.769  0.769  0.231
In  0.000  0.000  0.000

Calculated values
formation energy = -1581.2 meV per atom


No. 5
Density functional theory data (PBE) for a relaxed structure of Na5InS4.

Lattice parameters (Å, degrees): 8.853 6.884 7.874 89.00 90.00 90.00
Element x y z (fractional)
In  0.250  0.361  0.176
In  0.750  0.639  0.824
Na  0.020  0.345  0.665
Na  0.980  0.655  0.335
Na  0.250  0.977  0.469
Na  0.520  0.655  0.335
Na  0.750  0.023  0.531
Na  0.250  0.669  0.839
Na  0.750  0.331  0.161
Na  0.480  0.345  0.665
Na  0.000  0.000  0.000
Na  0.500  0.000  0.000
S  0.250  0.726  0.179
S  0.981  0.766  0.672
S  0.519  0.766  0.672
S  0.481  0.234  0.328
S  0.750  0.274  0.821
S  0.750  0.759  0.121
S  0.250  0.241  0.879
S  0.019  0.234  0.328

Calculated values
formation energy = -1214.7 meV per atom


No. 6
Density functional theory data (PBE) for a relaxed structure of SrMg14BiO16.

Lattice parameters (Å, degrees): 8.801 8.991 4.534 90.00 90.00 90.00
Element x y z (fractional)
Mg  0.000  0.245  0.500
Mg  0.738  0.000  0.500
Mg  0.736  0.753  0.000
Mg  0.500  0.500  0.000
Mg  0.262  0.000  0.500
Mg  0.736  0.247  0.000
Mg  0.500  0.000  0.000
Mg  0.264  0.247  0.000
Mg  0.264  0.753  0.000
Mg  0.736  0.500  0.500
Mg  0.000  0.755  0.500
Mg  0.264  0.500  0.500
Mg  0.500  0.751  0.500
Mg  0.500  0.249  0.500
O  0.750  0.749  0.500
O  0.500  0.500  0.500
O  0.273  0.000  0.000
O  0.729  0.500  0.000
O  0.000  0.749  0.000
O  0.250  0.749  0.500
O  0.750  0.251  0.500
O  0.500  0.000  0.500
O  0.500  0.252  0.000
O  0.500  0.748  0.000
O  0.000  0.000  0.500
O  0.000  0.251  0.000
O  0.000  0.500  0.500
O  0.727  0.000  0.000
O  0.250  0.251  0.500
O  0.271  0.500  0.000
Bi  0.000  0.500  0.000
Sr  0.000  0.000  0.000

Calculated values
formation energy = -2701.1 meV per atom
distance to the lowest polymorph of the same formula = 18 meV/atom


No. 7
Density functional theory data (PBE) for a relaxed structure of Ti2N2O.

Lattice parameters (Å, degrees): 8.222 8.211 8.229 109.58 109.41 109.41
Element x y z (fractional)
Ti  0.245  0.211  0.952
Ti  0.695  0.456  0.236
Ti  0.746  0.289  0.531
Ti  0.510  0.011  0.000
Ti  0.499  0.498  0.502
Ti  0.216  0.955  0.259
Ti  0.537  0.740  0.297
Ti  0.257  0.716  0.463
Ti  0.798  0.043  0.760
Ti  0.047  0.753  0.794
Ti  0.453  0.254  0.708
Ti  0.294  0.549  0.755
Ti  0.953  0.242  0.200
Ti  0.006  0.997  0.510
Ti  0.752  0.784  0.041
Ti  0.008  0.510  0.995
N  0.773  0.725  0.261
N  0.462  0.224  0.448
N  0.537  0.774  0.549
N  0.223  0.274  0.734
N  0.512  0.236  0.959
N  0.723  0.989  0.951
N  0.048  0.273  0.012
N  0.265  0.773  0.726
N  0.733  0.226  0.276
N  0.953  0.727  0.994
N  0.547  0.542  0.774
N  0.230  0.958  0.506
N  0.276  0.735  0.222
N  0.988  0.946  0.721
N  0.451  0.460  0.227
N  0.037  0.488  0.763
O  0.766  0.043  0.495
O  0.487  0.763  0.040
O  0.011  0.056  0.277
O  0.725  0.263  0.773
O  0.774  0.551  0.545
O  0.273  0.008  0.046
O  0.965  0.509  0.241
O  0.225  0.448  0.458

Calculated values
formation energy = -1984.9 meV per atom


No. 8
Density functional theory data (PBE) for a relaxed structure of Sn3As.

Lattice parameters (Å, degrees): 6.511 6.511 5.620 90.00 90.00 120.00
Element x y z (fractional)
Sn  0.832  0.663  0.750
Sn  0.337  0.168  0.750
Sn  0.168  0.337  0.250
Sn  0.168  0.832  0.250
Sn  0.663  0.832  0.250
Sn  0.832  0.168  0.750
As  0.667  0.333  0.250
As  0.333  0.667  0.750

Calculated values
formation energy = 135.9 meV per atom


Question: What is the formation energy in the eighth record?
Answer: 135.9 meV per atom


Question: What is the formula in the sixth record?
Answer: SrMg14BiO16


Question: Among the records above, which one has the highest formation energy?
Answer: Sn3As